Computed, not measured: PaGa3 after structural relaxation at the PBE level of DFT.

a = 6.2763 Å, b = 6.2763 Å, c = 4.5577 Å
α = 90.00°, β = 90.00°, γ = 120.00°
Last column: nearest neighbours and their distance in Å.
Space group P6_3/mmc (No. 194)
Asymmetric unit:
Pa 0.3333 0.6667 0.2500 x2  12 Ga 3.03-3.14
Ga 0.1496 0.2992 0.7500 x6  6 Ga 2.80-2.82, 2 Pa 3.03

Calculated values
**Energy relative to the lowest polymorph listed for this composition**: 0.07 eV/f.u.
**E**: -5.01 eV/atom
**Energy of formation from the pure elements**: -0.36 eV per atom